1.
This record from the Materials Project database describes a geometry-optimized FeH36C12S6Br3O6 structure. The functional is PBE+U.

Geometry as extended XYZ:
```
64
Lattice="-9.596 2.900 0.414 -6.328 -7.226 2.898 -3.519 1.152 9.324" Properties=species:S:1:pos:R:3 pbc="T T T"
C -8.040 1.424 4.041
H -10.873 0.178 10.495
Br -9.722 -1.587 6.318
H -12.785 -0.702 3.190
H -6.856 -3.255 2.771
C -10.668 1.791 4.647
Br -14.687 -2.398 9.545
H -7.743 -5.092 8.356
O -11.521 2.788 9.756
H -11.405 -3.730 7.922
H -12.026 -2.211 2.491
O -9.808 -5.967 10.192
H -8.570 -3.352 2.142
C -9.916 -4.805 4.148
Br -4.756 -0.777 3.091
H -11.700 1.918 4.281
S -8.144 -4.848 3.945
H -12.877 -1.402 6.242
H -10.383 -4.678 3.161
H -12.164 -4.461 9.376
S -6.028 -0.490 8.295
C -9.527 1.630 8.489
H -10.599 0.902 5.296
H -9.226 2.570 7.999
H -8.844 -4.077 7.340
O -7.922 -5.962 2.881
H -8.194 -2.505 3.707
H -10.127 -3.945 4.805
Fe 0.000 0.000 0.000
H -14.165 -0.609 5.232
H -10.217 -5.744 4.638
S -9.809 -4.625 9.404
O -9.635 2.793 2.445
C -11.403 -4.598 8.596
C -5.640 -1.623 6.968
C -12.293 -1.661 3.406
C -7.921 -3.328 3.031
H -9.316 0.770 7.831
H -6.566 -1.773 6.395
H -5.278 -2.566 7.404
H -9.154 -5.863 7.482
H -4.887 -1.138 6.333
H -11.249 -0.669 8.930
S -9.635 1.451 3.233
H -8.039 -1.654 8.593
S -13.415 -2.685 4.342
C -8.775 -4.965 7.990
S -11.299 1.673 8.692
H -14.556 -2.036 6.304
H -11.533 -5.540 8.042
H -7.910 2.366 4.594
H -11.404 -1.521 4.043
C -13.803 -1.552 5.669
O -4.736 -0.470 9.163
C -7.150 -1.514 9.231
H -7.418 -0.963 10.146
H -6.658 -2.473 9.446
H -8.038 0.556 4.715
H -7.280 1.287 3.261
H -10.289 2.688 5.155
O -14.707 -2.704 3.474
H -12.587 0.080 9.866
H -9.060 1.503 9.476
C -11.522 0.153 9.606
```

Calculated values
Crystal system = trigonal
SG = No. 148

2.
This record from the Materials Project database describes a geometry-optimized Na6Ni2PC4O16 structure. The functional is PBE+U.

Geometry as extended XYZ:
```
58
Lattice="-6.598 4.590 5.625 -1.577 9.615 -1.142 -8.426 3.159 -3.907" Properties=species:S:1:pos:R:3 pbc="T T T"
C -10.903 12.866 -3.035
O -13.333 9.128 0.343
C -9.747 13.771 2.995
C -14.079 9.687 1.245
O -13.085 13.088 1.850
Na -15.311 12.626 1.040
O -7.430 4.635 3.183
C -15.077 15.769 0.523
Ni -2.075 2.171 0.072
C -11.006 7.934 -2.274
Na -11.160 8.285 0.896
O -7.195 8.988 1.336
O -5.596 5.999 1.491
O -4.930 6.704 -0.536
Na -9.025 10.422 -1.982
Ni -2.864 6.978 -0.499
O -9.698 12.506 3.280
O -11.745 7.455 -1.322
O -3.984 9.954 -2.007
Na -12.398 15.372 2.216
O -6.802 7.033 4.822
P -8.301 8.682 0.288
O -11.786 14.388 0.100
Na -8.354 6.333 -1.496
O -11.005 9.056 3.205
O -8.967 7.318 0.621
O -9.375 9.805 0.325
C -5.676 5.936 0.197
O -11.378 11.900 0.395
O -9.068 9.837 4.035
O -5.524 11.513 -0.195
O -7.050 5.209 -3.160
O -12.629 6.937 2.224
O -7.668 8.618 -1.130
O -7.419 12.577 0.377
Na -13.176 14.763 -1.838
O -9.727 4.466 -2.103
C -6.673 12.018 -0.525
O -6.546 5.153 -0.362
O -3.258 8.709 0.593
Na -12.505 10.674 -1.352
O -7.104 11.907 -1.744
O -9.449 7.624 3.965
C -9.849 8.840 3.755
P -12.451 13.023 0.432
Na -5.441 9.079 -0.320
Na -11.727 11.283 2.702
O -6.730 12.547 3.136
O -10.170 7.161 -2.898
Ni -5.374 4.466 2.884
Na -7.577 6.942 2.558
Na -8.248 11.031 2.072
Na -9.592 13.420 -0.176
O -9.225 10.411 -4.368
Ni -6.288 3.750 -1.881
O -11.055 9.199 -2.559
O -9.748 12.650 -2.485
O -13.557 12.717 -0.616
```

Calculated values
Crystal system = cubic
SG = No. 203

3.
This record from the Materials Project database describes a geometry-optimized Sr2CdWO6 structure. The functional is PBE+U.

Geometry as extended XYZ:
```
10
Lattice="-2.812 -1.095 5.060 0.694 5.580 1.759 -2.518 -1.239 -5.180" Properties=species:S:1:pos:R:3 pbc="T T T"
O -0.491 1.039 1.580
Sr -1.441 3.291 -0.006
Sr -3.194 -0.046 1.645
O -1.863 0.015 -0.588
Cd -1.059 2.242 3.410
W 0.000 0.000 0.000
O -1.627 3.446 5.239
O -2.487 0.560 4.073
O -2.148 2.686 -2.434
O -2.772 3.231 2.227
```

Calculated values
Crystal system = tetragonal
SG = No. 87

4.
This record from the Materials Project database describes a geometry-optimized MgMn6O8F4 structure. The functional is PBE+U.

Geometry as extended XYZ:
```
19
Lattice="-4.446 4.572 2.968 0.527 5.096 -2.960 -5.022 -0.562 -3.006" Properties=species:S:1:pos:R:3 pbc="T T T"
Mn -2.289 2.153 -1.634
O -3.336 3.954 1.334
Mn -9.417 4.058 -0.070
O -5.547 5.183 -4.398
O -7.686 6.158 -3.042
O -5.583 5.150 1.483
F -3.375 1.411 -0.113
Mn -6.706 6.883 -1.518
Mg -1.946 4.869 -0.033
Mn -4.176 4.785 -2.999
F -3.593 1.260 -3.056
O -3.389 3.909 -4.514
F -6.137 2.522 -2.949
O -5.765 7.484 -0.023
O -3.305 3.957 -1.409
F -5.915 2.650 -0.080
Mn -4.708 4.375 -0.054
Mn -6.710 6.831 -4.457
O -5.592 5.147 -1.650
```

Calculated values
Crystal system = triclinic
E above lowest polymorph = 16 meV/atom
SG = No. 1

5.
This record from the Materials Project database describes a geometry-optimized SiMo12H24C6N3O40 structure. The functional is PBE+U.

Geometry as extended XYZ:
```
172
Lattice="-0.397 12.644 2.332 -4.429 4.020 -11.388 -12.468 1.122 2.960" Properties=species:S:1:pos:R:3 pbc="T T T"
O -11.999 14.309 -3.832
O -10.139 12.266 -4.730
H -10.884 10.310 2.010
O -9.028 1.461 1.735
Mo -12.819 10.555 -2.866
H -9.146 9.611 0.540
H -6.285 4.921 -6.592
O -2.794 13.123 1.085
O -3.731 10.651 -5.598
O -14.839 10.979 -6.096
O -3.653 3.399 -7.859
H -4.311 11.966 -0.963
H -8.082 13.148 -6.984
O -9.415 14.753 -3.868
Mo -3.402 1.105 0.305
Mo -15.792 11.095 -4.421
O -8.822 6.356 -9.957
N -6.839 6.757 -7.499
O -10.810 9.199 3.982
C -3.703 10.222 -0.010
O -3.354 5.331 -2.365
H -14.382 7.041 -6.636
O -6.578 3.503 -4.551
N -4.751 11.222 -0.395
O -6.534 13.845 -0.864
Mo -10.107 13.144 -3.007
O -4.389 14.315 -7.707
O -10.614 15.012 -6.316
C -5.817 5.702 -7.201
O -13.849 11.293 -1.382
H -9.685 11.454 1.948
O -11.749 3.708 -2.610
C -13.591 7.564 -6.087
O -13.251 6.148 1.999
H -6.608 7.915 -5.739
H -3.297 9.770 -0.921
N -6.293 12.530 -6.026
H -6.400 9.899 -0.539
H -7.610 6.332 -8.044
O -14.032 4.478 -0.659
Mo -2.331 4.919 -4.495
H -11.828 12.503 2.055
O -14.344 14.752 -5.056
H -9.615 6.830 -0.372
O -12.415 10.649 -7.328
H -6.410 7.477 -8.106
O -14.500 4.664 -7.182
Mo -6.698 1.732 -1.406
C -7.264 13.604 -6.416
H -11.009 12.866 0.495
O -13.428 13.997 -1.294
O -3.263 13.309 -5.438
Mo -5.046 2.328 -4.354
H -10.686 9.872 -0.357
C -6.866 11.441 -5.174
O -13.641 14.387 1.762
O -4.649 8.901 -7.599
H -10.050 5.901 -1.850
H -7.909 6.673 -5.672
Mo -6.282 6.581 -0.006
Mo -4.475 7.232 -3.230
Si -4.062 4.178 -1.432
O -0.956 9.166 1.316
O -6.172 5.899 -10.406
O -2.951 3.035 -1.040
O -2.792 7.890 -2.493
C -10.030 4.183 0.319
C -5.910 10.659 -1.158
C -7.419 7.430 -6.294
N -12.543 6.564 -5.702
O -5.427 13.615 1.592
O -7.449 7.817 0.245
O -7.027 10.911 -8.525
H -4.164 9.457 0.626
O -11.031 7.089 -8.317
O -3.445 6.494 -4.714
O -4.647 4.865 -0.057
H -10.559 3.447 0.936
H -7.244 11.886 -4.246
Mo -0.932 3.462 0.177
C -11.477 12.085 1.105
Mo -13.984 11.747 -7.647
H -12.185 6.108 -6.558
H -10.691 6.308 -4.715
H -11.760 7.575 -4.011
O -3.312 11.761 -3.048
H -9.212 4.638 0.888
H -6.604 11.478 -1.381
H -7.679 10.956 -5.725
H -13.131 8.329 -6.722
C -9.875 10.356 0.198
O -8.667 12.489 -2.333
N -10.455 11.030 1.403
H -5.900 12.107 -6.885
O -8.266 16.326 -7.832
H -11.394 5.680 0.789
O -12.036 10.456 -4.631
Mo -11.013 11.206 -6.091
H -11.227 7.065 -1.141
Mo -12.248 15.458 -1.742
O -3.870 14.177 -1.187
H -5.109 11.679 0.462
H -8.148 8.175 -6.636
O -12.905 3.472 1.611
O -9.845 9.969 -6.341
O -11.867 4.171 -7.689
O -4.879 7.137 1.231
O -10.268 6.875 2.428
O -14.502 9.897 -3.603
Si -13.232 13.609 -4.665
Mo -1.757 1.698 -2.630
N -11.002 5.256 -0.070
O -12.645 8.885 1.503
O -5.892 5.976 -3.621
H -5.534 10.211 -2.085
O -9.082 4.670 -7.369
H -10.894 7.887 -5.558
H -4.983 6.163 -6.659
H -6.067 10.722 -4.956
O -8.412 8.963 2.757
C -10.429 6.345 -0.923
O -6.680 2.775 0.219
Mo -1.503 6.692 -1.676
H -7.648 14.078 -5.505
Mo -10.596 16.054 -4.691
O -6.833 5.272 1.333
O -12.194 9.123 -2.150
O -5.259 7.330 -1.465
Mo -7.188 4.642 -3.089
O -13.941 12.455 -3.731
Mo -5.791 3.672 1.680
O -5.295 3.478 -2.264
O -10.716 14.284 -1.545
O -10.760 3.941 -5.233
H -11.795 4.823 -0.574
H -5.467 5.283 -8.151
H -12.311 11.624 0.563
O -5.100 8.664 -3.947
O -6.264 10.697 2.220
O -7.880 3.034 -2.229
O -8.212 13.117 1.272
Mo -13.892 16.682 -6.402
O -8.627 5.298 -3.763
O -11.122 11.887 4.310
H -9.385 11.114 -0.425
O -2.455 6.808 0.000
Mo -16.362 14.324 -6.274
H -13.998 8.017 -5.175
O -4.044 11.638 -8.095
O -10.462 12.514 -7.429
O -6.484 8.588 -10.079
C -11.385 7.128 -4.939
Mo -11.503 14.115 -7.776
H -12.983 5.820 -5.133
O -12.648 12.922 -6.039
O -5.546 14.078 -3.487
Mo -3.311 6.040 1.551
H -5.500 12.963 -5.522
H -2.912 10.746 0.539
O -11.402 11.811 -2.476
Mo -14.963 12.867 -1.601
H -6.736 14.339 -7.033
H -9.647 3.708 -0.591
O -16.338 8.621 -7.412
O -13.424 3.610 -4.910
O -13.982 6.025 -3.048
O -8.472 11.430 3.861
O -3.867 3.789 -4.802
O -13.563 7.136 -0.498
O -8.882 8.823 -8.853
O -7.155 5.520 -1.367
Mo -15.537 16.089 -3.467
```

Calculated values
Crystal system = trigonal
SG = No. 166

Number 1: electronic total energy -4.976 eV per atom. Number 2: electronic total energy -6.313 eV per atom. Number 3: electronic total energy -6.438 eV per atom. Number 4: electronic total energy -6.848 eV per atom. Number 5: electronic total energy -6.329 eV per atom.